No. 1
Compound: V2OF5
Source: the Materials Project
Functional: PBE with a Hubbard U
Structure: optimized geometry

Geometry as POSCAR:
```
V2OF5
1.0
5.176 0.000 0.000
2.585 4.691 0.000
2.579 0.877 16.970
V O F
8 4 20
Direct
0.000 0.000 0.000
0.083 0.133 0.633
0.199 0.288 0.248
0.348 0.422 0.881
0.481 0.500 0.500
0.624 0.631 0.130
0.734 0.791 0.751
0.831 0.921 0.382
0.234 0.712 0.940
0.721 0.210 0.441
0.925 0.980 0.709
0.960 0.443 0.173
0.007 0.057 0.292
0.009 0.458 0.690
0.180 0.836 0.563
0.193 0.231 0.966
0.214 0.854 0.092
0.223 0.689 0.416
0.247 0.312 0.543
0.429 0.485 0.215
0.437 0.089 0.817
0.456 0.106 0.338
0.480 0.932 0.665
0.501 0.963 0.191
0.513 0.564 0.790
0.676 0.731 0.466
0.692 0.333 0.065
0.701 0.364 0.591
0.736 0.192 0.916
0.754 0.816 0.042
0.935 0.584 0.319
0.959 0.609 0.840
```

Values from the calculation:
- Polymorph energy (0 for the lowest one): 0.0336 eV per atom
- Energy of formation from the pure elements: -3011 meV/atom
- Space-group type: P1 (1)



No. 2
Compound: V6O11F
Source: the Materials Project
Functional: PBE with a Hubbard U
Structure: optimized geometry

Geometry as POSCAR:
```
V6O11F
1.0
8.978 0.000 0.000
0.000 3.211 3.322
0.000 -3.211 3.322
V O F
6 11 1
Direct
0.000 0.000 0.000
0.168 0.471 0.471
0.319 0.975 0.975
0.500 0.525 0.525
0.681 0.975 0.975
0.832 0.471 0.471
0.000 0.302 0.688
0.000 0.688 0.302
0.173 0.194 0.194
0.176 0.793 0.793
0.336 0.299 0.692
0.336 0.692 0.299
0.500 0.798 0.798
0.664 0.299 0.692
0.664 0.692 0.299
0.824 0.793 0.793
0.827 0.194 0.194
0.500 0.187 0.187
```

Values from the calculation:
- Polymorph energy (0 for the lowest one): 0.0039 eV per atom
- Energy of formation from the pure elements: -2521 meV/atom
- Space-group type: Amm2 (38)



No. 3
Compound: V6O11F
Source: the Materials Project
Functional: PBE with a Hubbard U
Structure: optimized geometry

Geometry as POSCAR:
```
V6O11F
1.0
2.946 0.000 0.000
0.000 3.235 9.962
0.000 -3.235 9.962
V O F
6 11 1
Direct
0.000 0.000 0.000
0.000 0.323 0.323
0.000 0.650 0.650
0.500 0.160 0.160
0.500 0.486 0.486
0.500 0.813 0.813
0.000 0.090 0.090
0.000 0.224 0.224
0.000 0.423 0.423
0.000 0.552 0.552
0.000 0.752 0.752
0.500 0.113 0.531
0.500 0.182 0.792
0.500 0.457 0.850
0.500 0.531 0.113
0.500 0.792 0.182
0.500 0.850 0.457
0.000 0.886 0.886
```

Values from the calculation:
- Polymorph energy (0 for the lowest one): 0.0062 eV per atom
- Energy of formation from the pure elements: -2519 meV/atom
- Space-group type: Amm2 (38)